Entry 1:
A relaxed Gd3Se2NO crystal. Source: the Materials Project database, functional PBE.

Computed properties:
For the formation energy, the calculation gives -1592 kJ/mol of formula units.

Cell and atoms, written as POSCAR:
```
Gd3Se2NO
1.0
1.984 7.841 0.000
-1.984 7.841 0.000
0.000 1.252 9.753
O Se Gd N
2 4 6 2
Direct
0.535 0.535 0.860
0.465 0.465 0.140
0.788 0.788 0.151
0.371 0.371 0.474
0.629 0.629 0.526
0.212 0.212 0.849
0.956 0.956 0.262
0.391 0.391 0.946
0.197 0.197 0.325
0.609 0.609 0.054
0.803 0.803 0.675
0.044 0.044 0.738
0.902 0.902 0.812
0.098 0.098 0.188
```

=====

Entry 2:
A relaxed SrF3 crystal. Source: the Materials Project database, functional PBE.

Computed properties:
For the formation energy, the calculation gives -1205 kJ/mol of formula units.

Cell and atoms, written as POSCAR:
```
SrF3
1.0
2.073 -0.267 3.843
0.376 4.274 0.856
-3.732 -2.053 -1.001
F Sr
3 1
Direct
0.250 0.750 0.500
0.500 0.500 0.000
0.750 0.250 0.500
0.000 0.000 0.000
```